# 1
Nd2Hf2O7: optimized geometry, PBE-GGA.

a = 7.570 Å, b = 7.570 Å, c = 7.570 Å
α = 60.00°, β = 60.00°, γ = 60.00°
Sites, in units of the cell vectors:
Nd (0.000, 0.000, 0.000)
Nd (0.000, 0.000, 0.500)
Nd (0.000, 0.500, 0.000)
Nd (0.500, 0.000, 0.000)
Hf (0.000, 0.500, 0.500)
Hf (0.500, 0.000, 0.500)
Hf (0.500, 0.500, 0.000)
Hf (0.500, 0.500, 0.500)
O (0.125, 0.125, 0.125)
O (0.167, 0.167, 0.583)
O (0.167, 0.583, 0.167)
O (0.167, 0.583, 0.583)
O (0.417, 0.417, 0.833)
O (0.417, 0.833, 0.417)
O (0.417, 0.833, 0.833)
O (0.583, 0.167, 0.167)
O (0.583, 0.167, 0.583)
O (0.583, 0.583, 0.167)
O (0.833, 0.417, 0.417)
O (0.833, 0.417, 0.833)
O (0.833, 0.833, 0.417)
O (0.875, 0.875, 0.875)

calculated density = 8.20 g/cm³
electronic total energy = -9.3697 eV/atom
formation energy from the elements = -3.981 eV per atom

# 2
SrNdHfTiO6: optimized geometry, PBE-GGA.

a = 5.706 Å, b = 5.706 Å, c = 5.706 Å
α = 60.00°, β = 60.00°, γ = 60.00°
Sites, in units of the cell vectors:
Sr (0.000, 0.000, 0.000)
Nd (0.500, 0.500, 0.500)
Hf (0.750, 0.750, 0.750)
Ti (0.250, 0.250, 0.250)
O (0.004, 0.004, 0.496)
O (0.004, 0.496, 0.004)
O (0.004, 0.496, 0.496)
O (0.496, 0.004, 0.004)
O (0.496, 0.004, 0.496)
O (0.496, 0.496, 0.004)

magnetic moment = 0.087 μB per formula unit
calculated density = 7.00 g/cm³
electronic total energy = -8.5546 eV/atom
formation energy from the elements = -3.567 eV per atom

# 3
Nd2HfS5: optimized geometry, PBE-GGA.

a = 11.693 Å, b = 7.964 Å, c = 7.397 Å
α = 90.00°, β = 90.00°, γ = 90.00°
Sites, in units of the cell vectors:
Nd (0.177, 0.002, 0.028)
Nd (0.177, 0.498, 0.028)
Nd (0.323, 0.502, 0.528)
Nd (0.323, 0.998, 0.528)
Nd (0.677, 0.002, 0.472)
Nd (0.677, 0.498, 0.472)
Nd (0.823, 0.502, 0.972)
Nd (0.823, 0.998, 0.972)
Hf (0.007, 0.750, 0.574)
Hf (0.493, 0.250, 0.074)
Hf (0.507, 0.750, 0.926)
Hf (0.993, 0.250, 0.426)
S (0.005, 0.750, 0.940)
S (0.088, 0.035, 0.661)
S (0.088, 0.465, 0.661)
S (0.181, 0.750, 0.339)
S (0.204, 0.250, 0.317)
S (0.296, 0.750, 0.817)
S (0.319, 0.250, 0.839)
S (0.412, 0.535, 0.161)
S (0.412, 0.965, 0.161)
S (0.495, 0.250, 0.440)
S (0.505, 0.750, 0.560)
S (0.588, 0.035, 0.839)
S (0.588, 0.465, 0.839)
S (0.681, 0.750, 0.161)
S (0.704, 0.250, 0.183)
S (0.796, 0.750, 0.683)
S (0.819, 0.250, 0.661)
S (0.912, 0.535, 0.339)
S (0.912, 0.965, 0.339)
S (0.995, 0.250, 0.060)

calculated density = 6.05 g/cm³
electronic total energy = -6.9166 eV/atom
formation energy from the elements = -2.209 eV per atom

# 4
Hf2Ni: optimized geometry, PBE-GGA.

a = 6.409 Å, b = 6.409 Å, c = 5.232 Å
α = 90.00°, β = 90.00°, γ = 90.00°
Sites, in units of the cell vectors:
Hf (0.164, 0.336, 0.000)
Hf (0.164, 0.664, 0.500)
Hf (0.336, 0.164, 0.500)
Hf (0.336, 0.836, 0.000)
Hf (0.664, 0.164, 0.000)
Hf (0.664, 0.836, 0.500)
Hf (0.836, 0.336, 0.500)
Hf (0.836, 0.664, 0.000)
Ni (0.000, 0.000, 0.250)
Ni (0.000, 0.000, 0.750)
Ni (0.500, 0.500, 0.250)
Ni (0.500, 0.500, 0.750)

calculated density = 12.85 g/cm³
electronic total energy = -8.9052 eV/atom
formation energy from the elements = -0.340 eV per atom

# 5
HfNi2: optimized geometry, PBE-GGA.

a = 4.888 Å, b = 4.888 Å, c = 4.888 Å
α = 60.00°, β = 60.00°, γ = 60.00°
Sites, in units of the cell vectors:
Hf (0.125, 0.125, 0.125)
Hf (0.875, 0.875, 0.875)
Ni (0.000, 0.500, 0.500)
Ni (0.500, 0.000, 0.500)
Ni (0.500, 0.500, 0.000)
Ni (0.500, 0.500, 0.500)

calculated density = 11.90 g/cm³
electronic total energy = -7.6562 eV/atom
formation energy from the elements = -0.484 eV per atom

# 6
HfNi5: optimized geometry, PBE-GGA.

a = 4.710 Å, b = 4.710 Å, c = 4.710 Å
α = 60.00°, β = 60.00°, γ = 60.00°
Sites, in units of the cell vectors:
Hf (0.000, 0.000, 0.000)
Ni (0.127, 0.624, 0.624)
Ni (0.250, 0.250, 0.250)
Ni (0.624, 0.127, 0.624)
Ni (0.624, 0.624, 0.127)
Ni (0.624, 0.624, 0.624)

calculated density = 10.61 g/cm³
electronic total energy = -6.8217 eV/atom
formation energy from the elements = -0.345 eV per atom

# 7
Hf7Ni10: optimized geometry, PBE-GGA.

a = 7.624 Å, b = 7.624 Å, c = 9.102 Å
α = 90.00°, β = 90.00°, γ = 73.01°
Sites, in units of the cell vectors:
Hf (0.000, 0.000, 0.000)
Hf (0.005, 0.495, 0.250)
Hf (0.187, 0.813, 0.688)
Hf (0.194, 0.194, 0.500)
Hf (0.306, 0.306, 0.000)
Hf (0.313, 0.687, 0.188)
Hf (0.495, 0.005, 0.750)
Hf (0.500, 0.500, 0.500)
Hf (0.505, 0.995, 0.250)
Hf (0.687, 0.313, 0.812)
Hf (0.694, 0.694, 0.000)
Hf (0.806, 0.806, 0.500)
Hf (0.813, 0.187, 0.312)
Hf (0.995, 0.505, 0.750)
Ni (0.064, 0.647, 0.992)
Ni (0.107, 0.893, 0.395)
Ni (0.134, 0.155, 0.792)
Ni (0.147, 0.564, 0.492)
Ni (0.155, 0.134, 0.208)
Ni (0.345, 0.366, 0.708)
Ni (0.353, 0.936, 0.992)
Ni (0.366, 0.345, 0.292)
Ni (0.393, 0.607, 0.895)
Ni (0.436, 0.853, 0.492)
Ni (0.564, 0.147, 0.508)
Ni (0.607, 0.393, 0.105)
Ni (0.634, 0.655, 0.708)
Ni (0.647, 0.064, 0.008)
Ni (0.655, 0.634, 0.292)
Ni (0.845, 0.866, 0.792)
Ni (0.853, 0.436, 0.508)
Ni (0.866, 0.845, 0.208)
Ni (0.893, 0.107, 0.605)
Ni (0.936, 0.353, 0.008)

calculated density = 12.05 g/cm³
electronic total energy = -8.0163 eV/atom
formation energy from the elements = -0.516 eV per atom

# 8
HfNi4P2: optimized geometry, PBE-GGA.

a = 6.925 Å, b = 6.925 Å, c = 3.553 Å
α = 90.00°, β = 90.00°, γ = 90.00°
Sites, in units of the cell vectors:
Hf (0.000, 0.000, 0.000)
Hf (0.500, 0.500, 0.500)
Ni (0.085, 0.333, 0.500)
Ni (0.167, 0.585, 0.000)
Ni (0.333, 0.085, 0.500)
Ni (0.415, 0.833, 0.000)
Ni (0.585, 0.167, 0.000)
Ni (0.667, 0.915, 0.500)
Ni (0.833, 0.415, 0.000)
Ni (0.915, 0.667, 0.500)
P (0.218, 0.782, 0.500)
P (0.282, 0.282, 0.000)
P (0.718, 0.718, 0.000)
P (0.782, 0.218, 0.500)

calculated density = 9.26 g/cm³
electronic total energy = -7.0434 eV/atom
formation energy from the elements = -0.771 eV per atom

# 9
HfNiP: optimized geometry, PBE-GGA.

a = 6.319 Å, b = 3.701 Å, c = 7.149 Å
α = 90.00°, β = 90.00°, γ = 90.00°
Sites, in units of the cell vectors:
Hf (0.023, 0.250, 0.183)
Hf (0.477, 0.750, 0.683)
Hf (0.523, 0.250, 0.317)
Hf (0.977, 0.750, 0.817)
Ni (0.153, 0.250, 0.565)
Ni (0.347, 0.750, 0.065)
Ni (0.653, 0.250, 0.935)
Ni (0.847, 0.750, 0.435)
P (0.225, 0.750, 0.385)
P (0.275, 0.250, 0.885)
P (0.725, 0.750, 0.115)
P (0.775, 0.250, 0.615)

calculated density = 10.65 g/cm³
electronic total energy = -8.1106 eV/atom
formation energy from the elements = -1.060 eV per atom

# 10
Hf9Re4Ni: optimized geometry, PBE-GGA.

a = 8.599 Å, b = 8.599 Å, c = 8.433 Å
α = 90.00°, β = 90.00°, γ = 120.00°
Sites, in units of the cell vectors:
Hf (0.081, 0.540, 0.250)
Hf (0.198, 0.397, 0.555)
Hf (0.198, 0.397, 0.945)
Hf (0.198, 0.802, 0.555)
Hf (0.198, 0.802, 0.945)
Hf (0.397, 0.198, 0.055)
Hf (0.397, 0.198, 0.445)
Hf (0.460, 0.540, 0.250)
Hf (0.460, 0.919, 0.250)
Hf (0.540, 0.081, 0.750)
Hf (0.540, 0.460, 0.750)
Hf (0.603, 0.802, 0.555)
Hf (0.603, 0.802, 0.945)
Hf (0.802, 0.198, 0.055)
Hf (0.802, 0.198, 0.445)
Hf (0.802, 0.603, 0.055)
Hf (0.802, 0.603, 0.445)
Hf (0.919, 0.460, 0.750)
Re (0.000, 0.000, 0.000)
Re (0.000, 0.000, 0.500)
Re (0.111, 0.221, 0.250)
Re (0.111, 0.889, 0.250)
Re (0.221, 0.111, 0.750)
Re (0.779, 0.889, 0.250)
Re (0.889, 0.111, 0.750)
Re (0.889, 0.779, 0.750)
Ni (0.333, 0.667, 0.750)
Ni (0.667, 0.333, 0.250)

magnetic moment = 0.018 μB per formula unit
calculated density = 14.82 g/cm³
electronic total energy = -10.7239 eV/atom
formation energy from the elements = -0.354 eV per atom

# 11
Hf4NiRh: optimized geometry, PBE-GGA.

a = 8.604 Å, b = 8.604 Å, c = 8.604 Å
α = 60.00°, β = 60.00°, γ = 60.00°
Sites, in units of the cell vectors:
Hf (0.186, 0.186, 0.814)
Hf (0.186, 0.814, 0.186)
Hf (0.186, 0.814, 0.814)
Hf (0.391, 0.391, 0.391)
Hf (0.391, 0.391, 0.827)
Hf (0.391, 0.827, 0.391)
Hf (0.554, 0.554, 0.946)
Hf (0.554, 0.946, 0.554)
Hf (0.554, 0.946, 0.946)
Hf (0.814, 0.186, 0.186)
Hf (0.814, 0.186, 0.814)
Hf (0.814, 0.814, 0.186)
Hf (0.827, 0.391, 0.391)
Hf (0.946, 0.554, 0.554)
Hf (0.946, 0.554, 0.946)
Hf (0.946, 0.946, 0.554)
Ni (0.185, 0.605, 0.605)
Ni (0.605, 0.185, 0.605)
Ni (0.605, 0.605, 0.185)
Ni (0.605, 0.605, 0.605)
Rh (0.166, 0.166, 0.166)
Rh (0.166, 0.166, 0.503)
Rh (0.166, 0.503, 0.166)
Rh (0.503, 0.166, 0.166)

magnetic moment = 0.000 μB per formula unit
calculated density = 12.91 g/cm³
electronic total energy = -9.3062 eV/atom
formation energy from the elements = -0.477 eV per atom

# 12
Hf2NiS4: optimized geometry, PBE-GGA.

a = 13.027 Å, b = 3.551 Å, c = 6.104 Å
α = 90.00°, β = 117.28°, γ = 90.00°
Sites, in units of the cell vectors:
Hf (0.245, 0.000, 0.246)
Hf (0.255, 0.500, 0.754)
Hf (0.745, 0.500, 0.246)
Hf (0.755, 0.000, 0.754)
Ni (0.000, 0.500, 0.500)
Ni (0.500, 0.000, 0.500)
S (0.117, 0.000, 0.781)
S (0.117, 0.500, 0.292)
S (0.383, 0.000, 0.708)
S (0.383, 0.500, 0.219)
S (0.617, 0.000, 0.292)
S (0.617, 0.500, 0.781)
S (0.883, 0.000, 0.219)
S (0.883, 0.500, 0.708)

magnetic moment = 0.004 μB per formula unit
calculated density = 7.20 g/cm³
electronic total energy = -7.2946 eV/atom
formation energy from the elements = -1.548 eV per atom

# 13
Hf3Ni3Sb4: optimized geometry, PBE-GGA.

a = 7.867 Å, b = 7.867 Å, c = 7.867 Å
α = 109.47°, β = 109.47°, γ = 109.47°
Sites, in units of the cell vectors:
Hf (0.125, 0.750, 0.875)
Hf (0.250, 0.625, 0.375)
Hf (0.375, 0.250, 0.625)
Hf (0.625, 0.375, 0.250)
Hf (0.750, 0.875, 0.125)
Hf (0.875, 0.125, 0.750)
Ni (0.125, 0.875, 0.250)
Ni (0.250, 0.125, 0.875)
Ni (0.375, 0.625, 0.750)
Ni (0.625, 0.750, 0.375)
Ni (0.750, 0.375, 0.625)
Ni (0.875, 0.250, 0.125)
Sb (0.000, 0.333, 0.500)
Sb (0.000, 0.833, 0.500)
Sb (0.167, 0.167, 0.167)
Sb (0.333, 0.500, 0.000)
Sb (0.500, 0.000, 0.333)
Sb (0.500, 0.000, 0.833)
Sb (0.667, 0.667, 0.667)
Sb (0.833, 0.500, 0.000)

calculated density = 10.62 g/cm³
largest piezoelectric modulus = 0.7 C/m2
electronic total energy = -6.9396 eV/atom
formation energy from the elements = -0.644 eV per atom

# 14
Hf6NiSb2: optimized geometry, PBE-GGA.

a = 7.719 Å, b = 7.719 Å, c = 3.619 Å
α = 90.00°, β = 90.00°, γ = 120.00°
Sites, in units of the cell vectors:
Hf (0.000, 0.398, 0.000)
Hf (0.000, 0.760, 0.500)
Hf (0.240, 0.240, 0.500)
Hf (0.398, 0.000, 0.000)
Hf (0.602, 0.602, 0.000)
Hf (0.760, 0.000, 0.500)
Ni (0.000, 0.000, 0.000)
Sb (0.333, 0.667, 0.500)
Sb (0.667, 0.333, 0.500)

calculated density = 12.21 g/cm³
electronic total energy = -8.6920 eV/atom
formation energy from the elements = -0.537 eV per atom

# 15
HfSi2Ni2: optimized geometry, PBE-GGA.

a = 3.755 Å, b = 3.755 Å, c = 9.680 Å
α = 90.00°, β = 90.00°, γ = 90.00°
Sites, in units of the cell vectors:
Hf (0.000, 0.000, 0.000)
Hf (0.500, 0.500, 0.500)
Si (0.000, 0.000, 0.381)
Si (0.000, 0.000, 0.619)
Si (0.500, 0.500, 0.119)
Si (0.500, 0.500, 0.881)
Ni (0.000, 0.500, 0.250)
Ni (0.000, 0.500, 0.750)
Ni (0.500, 0.000, 0.250)
Ni (0.500, 0.000, 0.750)

calculated density = 8.57 g/cm³
electronic total energy = -7.2370 eV/atom
formation energy from the elements = -0.763 eV per atom

# 16
Hf4Si7Ni4: optimized geometry, PBE-GGA.

a = 9.445 Å, b = 9.445 Å, c = 9.445 Å
α = 94.19°, β = 94.19°, γ = 148.63°
Sites, in units of the cell vectors:
Hf (0.000, 0.195, 0.195)
Hf (0.000, 0.805, 0.805)
Hf (0.195, 0.000, 0.195)
Hf (0.364, 0.364, 0.727)
Hf (0.364, 0.636, 0.000)
Hf (0.636, 0.364, 0.000)
Hf (0.636, 0.636, 0.273)
Hf (0.805, 0.000, 0.805)
Si (0.000, 0.409, 0.409)
Si (0.000, 0.591, 0.591)
Si (0.204, 0.500, 0.704)
Si (0.209, 0.209, 0.417)
Si (0.209, 0.791, 0.000)
Si (0.250, 0.250, 0.000)
Si (0.409, 0.000, 0.409)
Si (0.500, 0.204, 0.704)
Si (0.500, 0.796, 0.296)
Si (0.591, 0.000, 0.591)
Si (0.750, 0.750, 0.000)
Si (0.791, 0.209, 0.000)
Si (0.791, 0.791, 0.583)
Si (0.796, 0.500, 0.296)
Ni (0.103, 0.603, 0.206)
Ni (0.103, 0.897, 0.500)
Ni (0.397, 0.603, 0.500)
Ni (0.397, 0.897, 0.794)
Ni (0.603, 0.103, 0.206)
Ni (0.603, 0.397, 0.500)
Ni (0.897, 0.103, 0.500)
Ni (0.897, 0.397, 0.794)

magnetic moment = 0.000 μB per formula unit
calculated density = 9.01 g/cm³
electronic total energy = -7.4666 eV/atom
formation energy from the elements = -0.738 eV per atom

# 17
Hf2Si4Ni3: optimized geometry, PBE-GGA.

a = 7.311 Å, b = 7.311 Å, c = 6.880 Å
α = 90.00°, β = 90.00°, γ = 138.47°
Sites, in units of the cell vectors:
Hf (0.104, 0.896, 0.902)
Hf (0.396, 0.604, 0.402)
Hf (0.604, 0.396, 0.598)
Hf (0.896, 0.104, 0.098)
Si (0.181, 0.819, 0.523)
Si (0.189, 0.311, 0.750)
Si (0.311, 0.189, 0.250)
Si (0.319, 0.681, 0.023)
Si (0.681, 0.319, 0.977)
Si (0.689, 0.811, 0.750)
Si (0.811, 0.689, 0.250)
Si (0.819, 0.181, 0.477)
Ni (0.000, 0.000, 0.500)
Ni (0.021, 0.479, 0.750)
Ni (0.479, 0.021, 0.250)
Ni (0.500, 0.500, 0.000)
Ni (0.521, 0.979, 0.750)
Ni (0.979, 0.521, 0.250)

calculated density = 8.79 g/cm³
electronic total energy = -7.3003 eV/atom
formation energy from the elements = -0.750 eV per atom